The following is a DFT calculation (PBE) of crystalline NdSi2Ir2 at its relaxed geometry.

extended XYZ file:
```
5
Lattice="-2.1243 2.1243 4.9798 2.1243 -2.1243 4.9798 2.1243 2.1243 -4.9798" Properties=species:S:1:pos:R:3 pbc="T T T"
Ir 0.0000 0.0000 6.3087
Ir 0.0000 0.0000 3.6509
Nd 0.0000 0.0000 0.0000
Si 0.0000 2.1243 2.4899
Si 2.1243 0.0000 2.4899
```

Values from the calculation:
Space group = I4/mmm, No. 139
Total DFT energy (no corrections) = -37.76 eV per cell
Energy relative to the elements = -0.892 eV per atom
Volume = 18.0 Å³ per atom
Magnetization = 0.00 μB/cell


The following is a DFT calculation (PBE) of crystalline ZnBiAsO5 at its relaxed geometry.

extended XYZ file:
```
32
Lattice="7.2554 0.0000 0.0000 0.0000 8.1313 0.0000 0.0000 0.0000 8.9994" Properties=species:S:1:pos:R:3 pbc="T T T"
O 3.6384 5.2955 1.2402
O 0.2595 5.7881 4.2773
O 3.6460 7.6871 8.5453
O 3.3682 2.3432 8.7770
O 0.0107 6.9015 7.7592
O 1.3761 2.8053 2.2566
O 3.6094 3.6215 4.9538
O 5.0038 1.2603 6.7428
O 3.6170 1.2299 3.2595
O 2.1710 1.0000 6.6343
O 7.2372 0.4442 4.0456
O 7.2447 2.8358 5.7399
O 3.8872 6.4089 4.7221
O 1.4567 7.1313 2.1346
O 5.8793 6.8710 2.2431
O 0.0183 4.5099 0.4541
O 5.0844 5.0657 6.8648
O 5.7987 3.0656 2.3651
O 6.9959 1.7224 0.2224
O 2.2516 5.3260 6.7563
Zn 0.3726 6.0494 6.1348
Zn 3.2551 2.0819 1.6351
Zn 4.0003 6.1476 2.8646
Zn 6.8828 1.9838 7.3643
Bi 5.3568 2.0417 4.3661
Bi 1.7291 2.0240 4.6333
Bi 5.5264 6.0896 8.8658
Bi 1.8986 6.1074 0.1336
As 3.5523 1.0564 7.6562
As 3.7031 5.1221 5.8428
As 0.0754 7.0749 3.1565
As 7.1800 3.0093 1.3431
```

Values from the calculation:
Space group = P2_12_12_1, No. 19
Total DFT energy (no corrections) = -177.89 eV per cell
Energy relative to the elements = -1.670 eV per atom
Volume = 16.6 Å³ per atom
Magnetization = 0.00 μB/cell


The following is a DFT calculation (PBE) of crystalline TbI3O9 at its relaxed geometry.

extended XYZ file:
```
52
Lattice="-4.0643 3.6974 -2.6872 -5.5719 -6.7852 -0.9086 -10.5277 -2.2161 12.8737" Properties=species:S:1:pos:R:3 pbc="T T T"
I -3.1768 0.3504 0.9321
I -13.3374 -4.2221 8.7070
I -10.5174 -4.2083 5.1534
I -13.3607 -1.0342 6.1679
I -16.9871 -5.6543 8.3459
I -6.8265 -1.0818 0.5710
I -7.9300 -1.2221 7.7065
I -12.2339 -4.0818 1.5714
I -4.3875 -3.8881 -0.7109
I -15.7764 -1.4158 9.9888
I -6.8032 -4.2698 3.1101
I -9.6465 -1.0956 4.1246
O -10.4843 -3.3314 8.7964
O -12.9033 0.8143 8.1938
O -11.5979 -4.5164 10.9339
O -10.6842 -0.5588 9.1956
O -7.0277 -2.7332 -0.2275
O -14.3576 -3.6135 7.3057
O -12.0273 -3.5353 5.9727
O -6.7030 -1.4807 6.3824
O -13.1362 -2.5707 9.5054
O -7.2606 -6.1182 1.0841
O -11.5299 -5.5953 4.4451
O -10.5792 -3.2372 3.5604
O -3.8353 -0.8927 3.8067
O -8.5660 -0.7875 -1.6560
O -2.4679 0.5633 -0.7347
O -5.9191 -3.2395 4.3599
O -2.8874 -2.2626 0.2284
O -9.6796 -1.9726 0.4815
O -15.7343 -7.6671 11.5824
O -9.5847 -2.0667 5.7176
O -6.4710 0.8593 2.5296
O -4.4296 2.3632 -2.3045
O -9.4797 -4.7451 0.0823
O -5.4440 -0.3950 -0.4265
O -17.6960 -5.8672 10.0126
O -5.8063 -1.6904 1.9722
O -8.0989 -5.0354 4.1649
O -13.4609 -3.8232 2.8956
O -14.2448 -2.0644 4.9180
O -17.2765 -3.0413 9.0495
O -14.7199 -4.9089 9.7045
O -8.6340 0.2914 4.8329
O -12.0649 -0.2685 5.1130
O -8.1366 -1.7686 3.3053
O -13.6929 -6.1632 6.7483
O -16.3286 -4.4112 5.4712
Tb -11.1230 -2.1889 10.8298
Tb -14.0135 -4.4879 5.0775
Tb -9.0409 -3.1150 -1.5519
Tb -6.1504 -0.8160 4.2004
```

Values from the calculation:
Space group = P2_1/c, No. 14
Total DFT energy (no corrections) = -267.68 eV per cell
Energy relative to the elements = -1.490 eV per atom
Volume = 15.8 Å³ per atom


The following is a DFT calculation (PBE) of crystalline EuBi2Pd2 at its relaxed geometry.

extended XYZ file:
```
10
Lattice="4.9073 0.0000 0.0000 0.0000 4.9073 0.0000 0.0000 0.0000 10.7940" Properties=species:S:1:pos:R:3 pbc="T T T"
Eu 0.0000 2.4537 2.5814
Eu 2.4537 0.0000 8.2126
Bi 2.4537 2.4537 5.3970
Bi 0.0000 0.0000 5.3970
Bi 2.4537 0.0000 1.3179
Bi 0.0000 2.4537 9.4760
Pd 2.4537 0.0000 4.0233
Pd 0.0000 0.0000 0.0000
Pd 2.4537 2.4537 0.0000
Pd 0.0000 2.4537 6.7707
```

Values from the calculation:
Space group = P4/nmm, No. 129
Total DFT energy (no corrections) = -62.63 eV per cell
Energy relative to the elements = -0.584 eV per atom
Volume = 26.0 Å³ per atom